The following is a PBE calculation of crystalline CrFeS2 at its relaxed geometry, from the Materials Project.

Cell: 3.2933 3.2933 5.3159 Å, 90.00 90.00 120.00°
Fractional coordinates of all 4 atoms:
Cr 0.0000 0.0000 0.5000
Fe 0.0000 0.0000 0.0000
S 0.3333 0.6667 0.2363
S 0.6667 0.3333 0.7637

Calculated values
The volume is 12.483 A^3/atom. Its formation energy is -0.60 eV/atom.


The following is a PBE calculation of crystalline Na2UI6 at its relaxed geometry, from the Materials Project.

Cell: 9.9023 9.9023 9.9023 Å, 90.00 90.00 90.00°
Fractional coordinates of all 18 atoms:
Na 0.2500 0.7500 0.2500
Na 0.7500 0.2500 0.2500
Na 0.7500 0.7500 0.7500
Na 0.2500 0.2500 0.7500
U 0.0000 0.0000 0.0000
U 0.5000 0.5000 0.5000
I 0.3032 0.0000 0.0000
I 0.0000 0.3032 0.0000
I 0.5000 0.5000 0.1968
I 0.0000 0.6968 0.0000
I 0.5000 0.8032 0.5000
I 0.8032 0.5000 0.5000
I 0.1968 0.5000 0.5000
I 0.0000 0.0000 0.3032
I 0.0000 0.0000 0.6968
I 0.5000 0.1968 0.5000
I 0.6968 0.0000 0.0000
I 0.5000 0.5000 0.8032

Calculated values
The volume is 53.943 A^3/atom. For the energy above the lowest structure with this stoichiometry, the calculation gives 90.4 meV/atom. Its formation energy is -1.22 eV/atom.


The following is a PBE calculation of crystalline CsRb2Sb4F15 at its relaxed geometry, from the Materials Project.

Cell: 29.1929 8.0627 8.1437 Å, 64.60 90.00 90.00°
Fractional coordinates of all 88 atoms:
Cs 0.5688 0.7938 0.7073
Cs 0.0688 0.2062 0.7927
Cs 0.4312 0.2062 0.2927
Cs 0.9312 0.7938 0.2073
Rb 0.2844 0.6434 0.8651
Rb 0.7844 0.3566 0.6349
Rb 0.7156 0.3566 0.1349
Rb 0.2156 0.6434 0.3651
Rb 0.6488 0.8231 0.1617
Rb 0.1488 0.1769 0.3383
Rb 0.3512 0.1769 0.8383
Rb 0.8512 0.8231 0.6617
Sb 0.4280 0.7194 0.8097
Sb 0.9280 0.2806 0.6903
Sb 0.5720 0.2806 0.1903
Sb 0.0720 0.7194 0.3097
Sb 0.3585 0.6568 0.3370
Sb 0.8585 0.3432 0.1630
Sb 0.6415 0.3432 0.6630
Sb 0.1415 0.6568 0.8370
Sb 0.4981 0.2464 0.7498
Sb 0.9981 0.7536 0.7502
Sb 0.5019 0.7536 0.2502
Sb 0.0019 0.2464 0.2498
Sb 0.2897 0.1363 0.3742
Sb 0.7897 0.8637 0.1258
Sb 0.7103 0.8637 0.6258
Sb 0.2103 0.1363 0.8742
F 0.4337 0.7760 0.5437
F 0.9337 0.2240 0.9563
F 0.5663 0.2240 0.4563
F 0.0663 0.7760 0.0437
F 0.3844 0.5214 0.8341
F 0.8844 0.4786 0.6659
F 0.6156 0.4786 0.1659
F 0.1156 0.5214 0.3341
F 0.3771 0.8992 0.7283
F 0.8771 0.1008 0.7717
F 0.6229 0.1008 0.2717
F 0.1229 0.8992 0.2283
F 0.3960 0.6669 0.0911
F 0.8960 0.3331 0.4089
F 0.6040 0.3331 0.9089
F 0.1040 0.6669 0.5911
F 0.3063 0.7020 0.1705
F 0.8063 0.2980 0.3295
F 0.6937 0.2980 0.8295
F 0.1937 0.7020 0.6705
F 0.3675 0.9279 0.2257
F 0.8675 0.0721 0.2743
F 0.6325 0.0721 0.7743
F 0.1325 0.9279 0.7257
F 0.3103 0.6873 0.5015
F 0.8103 0.3127 0.9985
F 0.6897 0.3127 0.4985
F 0.1897 0.6873 0.0015
F 0.4784 0.0267 0.6901
F 0.9784 0.9733 0.8099
F 0.5216 0.9733 0.3099
F 0.0216 0.0267 0.1901
F 0.4515 0.3756 0.5644
F 0.9515 0.6244 0.9356
F 0.5485 0.6244 0.4356
F 0.0485 0.3756 0.0644
F 0.4535 0.1255 0.9493
F 0.9535 0.8745 0.5507
F 0.5465 0.8745 0.0507
F 0.0465 0.1255 0.4493
F 0.4898 0.4620 0.8217
F 0.9898 0.5380 0.6783
F 0.5102 0.5380 0.1783
F 0.0102 0.4620 0.3217
F 0.3338 0.3156 0.4352
F 0.8338 0.6844 0.0648
F 0.6662 0.6844 0.5648
F 0.1662 0.3156 0.9352
F 0.3177 0.2647 0.1323
F 0.8177 0.7353 0.3677
F 0.6823 0.7353 0.8677
F 0.1823 0.2647 0.6323
F 0.2450 0.3352 0.3160
F 0.7450 0.6648 0.1840
F 0.7550 0.6648 0.6840
F 0.2550 0.3352 0.8160
F 0.2404 0.0445 0.2448
F 0.7404 0.9555 0.2552
F 0.7596 0.9555 0.7552
F 0.2596 0.0445 0.7448

Calculated values
The volume is 19.676 A^3/atom. Its formation energy is -2.84 eV/atom.


For reference, M_tot by record: 0.372; 2.000; 0.025 μB/f.u..